*a*
## MnSb3XeF23 (GGA+U)

Data for a relaxed MnSb3XeF23 crystal.

Lattice parameters (Å, degrees): 11.3574 10.8382 19.5711 90.00 125.34 90.00
Last column: nearest neighbours and their distance in Å.
Space group P2_1/c (No. 14)
One atom of each set of equivalent atoms:
Mn: 0.0000 0.0000 0.0000 x2  6 F 2.13-2.17
Mn: 0.5000 0.0000 0.5000 x2  6 F 2.12-2.16
Sb: 0.1852 0.1997 0.4840 x4  6 F 1.89-1.98
Sb: 0.2864 0.5019 0.7458 x4  6 F 1.89-1.96
Sb: 0.2887 0.7048 0.4938 x4  6 F 1.89-1.98
Xe: 0.2993 0.0517 0.7556 x4  5 F 1.95-1.96
F: 0.0484 0.1751 0.9727 x4  1 Sb 1.98, 1 Mn 2.13
F: 0.0503 0.0727 0.4553 x4  1 Sb 1.89
F: 0.1082 0.0363 0.2279 x4  1 Sb 1.89
F: 0.1135 0.2202 0.3699 x4  1 Sb 1.89
F: 0.1202 0.1440 0.6787 x4  1 Xe 1.96
F: 0.1356 0.5901 0.4718 x4  1 Sb 1.97, 1 Mn 2.15
F: 0.1639 0.5581 0.2564 x4  1 Xe 1.95
F: 0.1712 0.7324 0.8829 x4  1 Sb 1.90
F: 0.1946 0.0217 0.1255 x4  1 Sb 1.96, 1 Mn 2.17
F: 0.2152 0.6760 0.0306 x4  1 Sb 1.89
F: 0.2442 0.6725 0.7274 x4  1 Sb 1.89
F: 0.2537 0.5559 0.1629 x4  1 Xe 1.96
F: 0.2603 0.1792 0.5998 x4  1 Sb 1.92
F: 0.3047 0.1278 0.8482 x4  1 Xe 1.96
F: 0.3233 0.1738 0.0163 x4  1 Sb 1.90
F: 0.3257 0.0774 0.4968 x4  1 Sb 1.98, 1 Mn 2.12
F: 0.3410 0.1688 0.2648 x4  1 Sb 1.92
F: 0.3650 0.5832 0.4606 x4  1 Sb 1.89
F: 0.3769 0.5228 0.8658 x4  1 Sb 1.96, 1 Mn 2.16
F: 0.4118 0.6462 0.6075 x4  1 Sb 1.93
F: 0.4371 0.5739 0.3322 x4  1 Xe 1.96
F: 0.4425 0.6788 0.0179 x4  1 Sb 1.98, 1 Mn 2.14
F: 0.4691 0.5352 0.7638 x4  1 Sb 1.93

*b*
## MnSb3XeF23 (GGA+U)

Data for a relaxed MnSb3XeF23 crystal.

Lattice parameters (Å, degrees): 10.9481 16.2131 11.3999 90.00 90.00 90.00
Last column: nearest neighbours and their distance in Å.
Space group Pnma (No. 62)
One atom of each set of equivalent atoms:
Mn: 0.0000 0.0000 0.0000 x4  6 F 2.12-2.15
Sb: 0.0032 0.2500 0.0413 x4  6 F 1.88-1.96
Sb: 0.2031 0.5122 0.2945 x8  6 F 1.89-1.97
Xe: 0.0519 0.2500 0.4542 x4  5 F 1.95-1.96
F: 0.0021 0.1293 0.0430 x8  1 Sb 1.96, 1 Mn 2.15
F: 0.0363 0.7500 0.1196 x4  1 Sb 1.88
F: 0.0379 0.2500 0.2078 x4  1 Sb 1.94
F: 0.0539 0.7500 0.4084 x4  1 Xe 1.95
F: 0.0643 0.6657 0.5978 x8  1 Xe 1.96
F: 0.0809 0.5421 0.4032 x8  1 Sb 1.89
F: 0.0841 0.5203 0.1652 x8  1 Sb 1.97, 1 Mn 2.12
F: 0.1375 0.1661 0.5471 x8  1 Xe 1.96
F: 0.1613 0.1019 0.3158 x8  1 Sb 1.92
F: 0.1667 0.7500 0.9181 x4  1 Sb 1.92
F: 0.1732 0.2500 0.0125 x4  1 Sb 1.89
F: 0.1760 0.0031 0.9222 x8  1 Sb 1.97, 1 Mn 2.12
F: 0.1756 0.5217 0.6859 x8  1 Sb 1.90
F: 0.2469 0.6243 0.2732 x8  1 Sb 1.89

The most stable of them is *b*.

*a*
## Li2Mn3F8 (GGA+U)

Data for a relaxed Li2Mn3F8 crystal.

Lattice parameters (Å, degrees): 17.8799 6.1753 5.6748 90.00 93.21 90.00
Last column: nearest neighbours and their distance in Å.
Space group C2/c (No. 15)
One atom of each set of equivalent atoms:
Li: 0.1025 0.1363 0.2845 x8  4 F 1.96-2.01
Mn: 0.0000 0.3610 0.7500 x4  6 F 2.14-2.21
Mn: 0.2073 0.3389 0.7343 x8  3 F 2.05-2.12
F: 0.0603 0.3722 0.0855 x8  1 Li 1.97, 1 Mn 2.14
F: 0.0827 0.1427 0.6293 x8  2 Li 1.96-2.01, 1 Mn 2.14
F: 0.1862 0.3454 0.3632 x8  1 Li 2.01, 2 Mn 2.12
F: 0.2074 0.0759 0.9553 x8  1 Mn 2.05

*b*
## Li2Mn3F8 (GGA+U)

Data for a relaxed Li2Mn3F8 crystal.

Lattice parameters (Å, degrees): 5.8273 8.7361 9.4352 90.00 120.31 90.00
Last column: nearest neighbours and their distance in Å.
Space group P2_1/c (No. 14)
One atom of each set of equivalent atoms:
Li: 0.1307 0.1969 0.1910 x4  4 F 1.87-1.99
Mn: 0.4930 0.1465 0.6045 x4  5 F 2.06-2.14
Mn: 0.5000 0.0000 0.0000 x2  6 F 2.15-2.18
F: 0.2354 0.6950 0.3888 x4  1 Li 1.87, 1 Mn 2.08
F: 0.2483 0.1537 0.0375 x4  1 Li 1.93, 2 Mn 2.14-2.15
F: 0.2921 0.0551 0.3639 x4  1 Li 1.88, 1 Mn 2.09
F: 0.3564 0.1166 0.7664 x4  1 Li 1.99, 2 Mn 2.06-2.18

The most stable of them is *b*.

*a*
## Na4MgNi4O10 (GGA+U)

Data for a relaxed Na4MgNi4O10 crystal.

Lattice parameters (Å, degrees): 5.0900 6.3526 6.8403 105.70 98.19 106.98
Last column: nearest neighbours and their distance in Å.
Space group P1 (No. 1)
One atom of each set of equivalent atoms:
Na: 0.0000 0.0000 0.0000 x1  6 O 2.24-2.45
Na: 0.1056 0.3500 0.3726 x1  5 O 2.26-2.36
Na: 0.3549 0.2710 0.7807 x1  6 O 2.19-2.27
Na: 0.7057 0.5307 0.5467 x1  6 O 2.22-2.36
Mg: 0.3632 0.7682 0.7821 x1  5 O 2.09-2.31
Ni: 0.1499 0.8541 0.3791 x1  6 O 1.86-2.02
Ni: 0.5474 0.6708 0.1771 x1  5 O 1.87-2.06
Ni: 0.7575 0.0570 0.5776 x1  5 O 1.90-2.10
Ni: 0.9469 0.4836 0.9719 x1  6 O 1.88-2.01
O: 0.0441 0.4425 0.7120 x1  1 Ni 1.88, 1 Mg 2.10
O: 0.0479 0.9038 0.6384 x1  2 Ni 1.89-2.05
O: 0.2402 0.3896 0.0798 x1  2 Ni 1.87-1.89
O: 0.2428 0.7831 0.0970 x1  3 Ni 1.92-2.02
O: 0.4227 0.7376 0.4813 x1  2 Ni 1.89-2.10, 1 Mg 2.09
O: 0.4424 0.1397 0.4627 x1  2 Ni 1.86-1.95
O: 0.6682 0.6332 0.8977 x1  2 Ni 2.00-2.06, 1 Mg 2.14, 1 Na 2.23
O: 0.7032 0.1454 0.8530 x1  2 Ni 1.90-2.01
O: 0.8501 0.5515 0.2420 x1  3 Ni 1.95
O: 0.8513 0.9674 0.3076 x1  3 Ni 1.92-1.95

*b*
## Na4MgNi4O10 (GGA+U)

Data for a relaxed Na4MgNi4O10 crystal.

Lattice parameters (Å, degrees): 5.3715 5.8075 7.6312 95.92 106.25 102.11
Last column: nearest neighbours and their distance in Å.
Space group P1 (No. 1)
One atom of each set of equivalent atoms:
Na: 0.0000 0.0000 0.0000 x1  5 O 2.35-2.45
Na: 0.0488 0.5234 0.2614 x1  5 O 2.21-2.42
Na: 0.5772 0.9696 0.1755 x1  6 O 2.27-2.51
Na: 0.6932 0.9222 0.5666 x1  5 O 2.22-2.42
Mg: 0.2827 0.6588 0.7755 x1  4 O 1.97-2.11
Ni: 0.1913 0.2645 0.5702 x1  4 O 1.82-1.94
Ni: 0.4646 0.4516 0.0695 x1  5 O 1.90-2.04
Ni: 0.6230 0.4327 0.4675 x1  6 O 1.86-1.94
Ni: 0.8331 0.4492 0.8538 x1  5 O 1.88-2.03
O: 0.1351 0.2754 0.8091 x1  1 Ni 1.93
O: 0.1909 0.6527 0.0260 x1  2 Ni 2.03-2.04, 1 Mg 2.11, 1 Na 2.28
O: 0.3535 0.2581 0.2402 x1  2 Ni 1.94
O: 0.3601 0.5773 0.5328 x1  2 Ni 1.94, 1 Mg 2.04
O: 0.5420 0.2347 0.6411 x1  3 Ni 1.86-1.99
O: 0.6380 0.6645 0.9428 x1  2 Ni 1.90-1.97, 1 Mg 1.97
O: 0.6874 0.6419 0.3076 x1  2 Ni 1.86-1.94
O: 0.7153 0.2675 0.0189 x1  2 Ni 1.88-1.98
O: 0.8505 0.2401 0.4266 x1  2 Ni 1.82-1.89
O: 0.8951 0.6371 0.6751 x1  2 Ni 1.89-1.91, 1 Mg 1.98

The most stable of them is *a*.